# 1
VASP calculation (meta-GGA r2SCAN) on an optimized crystal structure of La4Sb3.

The structure in CIF format:
```
data_La4Sb3
_space_group_name_H-M_alt 'I -4 3 d'
_space_group_IT_number 220
_space_group_name_Hall 'I -4bd 2c 3'
_cell_length_a 9.721
_cell_length_b 9.721
_cell_length_c 9.721
_cell_angle_alpha 90.00
_cell_angle_beta 90.00
_cell_angle_gamma 90.00
loop_
_atom_site_label
_atom_site_fract_x
_atom_site_fract_y
_atom_site_fract_z
_atom_site_occupancy
La1 0.070 0.070 0.070 1
Sb1 0.000 0.250 0.375 1
```



# 2
VASP calculation (meta-GGA r2SCAN) on an optimized crystal structure of Re3Se7Cl7.

The structure in CIF format:
```
data_Re3Se7Cl7
_space_group_name_H-M_alt 'P b c m'
_space_group_IT_number 57
_cell_length_a 12.062
_cell_length_b 14.485
_cell_length_c 10.431
_cell_angle_alpha 90.00
_cell_angle_beta 90.00
_cell_angle_gamma 90.00
loop_
_space_group_symop_operation_xyz
'x,y,z'
'-x,-y,-z'
'-x,-y,z+1/2'
'x,y,-z+1/2'
'x,-y+1/2,-z'
'-x,y+1/2,z'
'-x,y+1/2,-z+1/2'
'x,-y+1/2,z+1/2'
loop_
_atom_site_label
_atom_site_fract_x
_atom_site_fract_y
_atom_site_fract_z
_atom_site_occupancy
Re1 0.222 0.060 0.118 1
Re2 0.231 0.605 0.750 1
Se1 0.069 0.502 0.750 1
Se2 0.188 0.208 0.250 1
Se3 0.208 0.599 0.503 1
Se4 0.365 0.144 0.250 1
Se5 0.376 0.554 0.592 1
Cl1 0.067 0.113 0.509 1
Cl2 0.090 0.722 0.750 1
Cl3 0.317 0.134 0.557 1
Cl4 0.343 0.745 0.750 1
Cl5 0.459 0.527 0.250 1
```



no.,electronic total energy (eV/atom)
1,-29.35
2,-18.19